[1]
DFT (meta-GGA r2SCAN) results for crystalline Tm4CdNi at its relaxed geometry.

abc: 13.2262 13.2262 13.2262
angles: 90.00 90.00 90.00
Last column: nearest neighbours and their distance in Å.
Space group F-43m (No. 216)
One atom of each set of equivalent atoms:
Tm 0.0000 0.0000 0.1870  2 Cd 3.17, 2 Ni 3.38, 10 Tm 3.38-3.51
Tm 0.0614 0.2500 0.2500  2 Ni 2.73
Tm 0.0987 0.0987 0.5987  3 Ni 2.73
Cd 0.1690 0.1690 0.8310  3 Cd 3.03, 6 Tm 3.17-3.34
Ni 0.1075 0.1075 0.3925  6 Tm 2.73

Results
As for the crystal system: cubic.

***

[2]
DFT (meta-GGA r2SCAN) results for crystalline Ho2GaRu at its relaxed geometry.

abc: 3.4577 3.4577 6.9287
angles: 90.00 90.00 90.00
Last column: nearest neighbours and their distance in Å.
Space group P4/mmm (No. 123)
One atom of each set of equivalent atoms:
Ho 0.0000 0.0000 0.2327  4 Ru 2.93, 4 Ga 3.07, 1 Ho 3.22
Ga 0.5000 0.5000 0.5000  8 Ho 3.07
Ru 0.5000 0.5000 0.0000  8 Ho 2.93

Results
As for the crystal system: tetragonal.

***

Total magnetic moment, respectively: 0.00 0.00 Bohr magnetons per cell.
E_form, respectively: -338 -591 meV per atom.